TiNbBi3O9 | the Materials Project | PBE | optimized geometry; V = 198.8 Å³ per cell; polymorph energy (0 for the lowest one) = 542 meV/atom; crystal system = tetragonal; total energy = -94.476 eV per formula unit; formation energy = -182.4 kJ/mol of atoms; energy with MP2020 corrections = -0.5284 Ry/atom
1.0
-1.819 1.819 15.018
1.819 -1.819 15.018
1.819 1.819 -15.018
Bi O Ti Nb
3 9 1 1
Direct
0.202 0.202 0.000
0.795 0.795 0.000
0.516 0.516 0.000
0.572 0.072 0.500
0.311 0.311 0.000
0.740 0.240 0.500
0.072 0.572 0.500
0.931 0.431 0.500
0.642 0.642 0.000
0.005 0.005 0.000
0.240 0.740 0.500
0.431 0.931 0.500
0.940 0.940 0.000
0.103 0.103 0.000

Te7O6F30 | the Materials Project | PBE | optimized geometry; V = 677.3 Å³ per cell; crystal system = trigonal; total energy = -185.026 eV per formula unit; formation energy = -210.7 kJ/mol of atoms; energy with MP2020 corrections = -0.3470 Ry/atom
1.0
2.240 9.320 -4.911
-5.919 8.959 -0.842
1.652 9.787 4.182
F O Te
30 6 7
Direct
0.541 0.947 0.633
0.901 0.250 0.215
0.099 0.750 0.785
0.198 0.621 0.541
0.089 0.091 0.479
0.633 0.541 0.947
0.267 0.253 0.622
0.479 0.089 0.091
0.053 0.367 0.459
0.367 0.459 0.053
0.622 0.267 0.253
0.909 0.521 0.911
0.379 0.459 0.802
0.521 0.911 0.909
0.621 0.541 0.198
0.947 0.633 0.541
0.215 0.901 0.250
0.733 0.747 0.378
0.378 0.733 0.747
0.459 0.053 0.367
0.253 0.622 0.267
0.911 0.909 0.521
0.541 0.198 0.621
0.747 0.378 0.733
0.785 0.099 0.750
0.091 0.479 0.089
0.250 0.215 0.901
0.750 0.785 0.099
0.802 0.379 0.459
0.459 0.802 0.379
0.757 0.050 0.076
0.950 0.924 0.243
0.243 0.950 0.924
0.076 0.757 0.050
0.924 0.243 0.950
0.050 0.076 0.757
0.768 0.392 0.081
0.919 0.232 0.608
0.232 0.608 0.919
0.392 0.081 0.768
0.608 0.919 0.232
0.000 0.000 0.000
0.081 0.768 0.392